VASP calculation (PBE-GGA) on a relaxed SmFeCo crystal.

Results
energy of formation from the pure elements	-0.05	eV per atom
E_tot	-0.501	Ry per atom

a b c (Å): 5.195 5.195 5.195
angles (deg): 120.34 117.32 92.05
Element x y z (fractional)
Fe  0.500  0.500  0.500
Fe  0.500  0.000  0.000
Sm  0.876  0.126  0.750
Sm  0.124  0.874  0.250
Co  0.500  0.500  0.000
Co  0.000  0.500  0.500

---

VASP calculation (PBE-GGA) on a relaxed Sm4Fe31Co3 crystal.

Results
energy of formation from the pure elements	0.00	eV per atom
E_tot	-0.585	Ry per atom

a b c (Å): 6.447 6.424 12.870
angles (deg): 82.42 82.75 82.61
Element x y z (fractional)
Fe  0.904  0.903  0.452
Fe  0.658  0.158  0.828
Fe  0.159  0.657  0.329
Fe  0.292  0.001  0.854
Fe  0.707  0.293  0.500
Fe  0.999  0.293  0.354
Fe  0.342  0.846  0.671
Fe  0.000  0.706  0.147
Fe  0.904  0.904  0.952
Fe  0.156  0.658  0.829
Fe  0.295  0.706  0.500
Fe  0.501  0.000  0.499
Fe  0.097  0.096  0.548
Fe  0.501  0.000  0.000
Fe  0.097  0.096  0.048
Fe  0.658  0.656  0.079
Fe  0.342  0.846  0.171
Fe  0.000  0.295  0.853
Fe  0.291  0.708  0.001
Fe  0.709  0.000  0.145
Fe  0.998  0.000  0.250
Fe  0.656  0.160  0.328
Fe  0.659  0.657  0.579
Fe  0.999  0.001  0.750
Fe  0.000  0.500  0.500
Fe  0.999  0.500  0.000
Fe  0.000  0.706  0.647
Fe  0.290  0.000  0.355
Fe  0.709  0.000  0.645
Fe  0.709  0.290  0.000
Fe  0.342  0.343  0.923
Sm  0.341  0.341  0.171
Sm  0.660  0.658  0.829
Sm  0.341  0.342  0.670
Sm  0.658  0.657  0.329
Co  0.844  0.340  0.670
Co  0.339  0.341  0.422
Co  0.844  0.341  0.170

---

VASP calculation (PBE-GGA) on a relaxed Sm2Fe4Co13 crystal.

Results
energy of formation from the pure elements	-0.08	eV per atom
E_tot	-0.531	Ry per atom

a b c (Å): 6.346 6.346 6.346
angles (deg): 82.63 82.63 82.63
Element x y z (fractional)
Co  0.287  0.713  0.000
Co  0.656  0.656  0.158
Co  0.000  0.713  0.287
Co  0.713  0.000  0.287
Co  0.000  0.287  0.713
Co  0.158  0.656  0.656
Co  0.343  0.847  0.343
Co  0.903  0.903  0.903
Co  0.713  0.287  0.000
Co  0.287  0.000  0.713
Co  0.343  0.343  0.847
Co  0.847  0.343  0.343
Co  0.656  0.158  0.656
Fe  0.094  0.094  0.094
Fe  0.997  0.997  0.504
Fe  0.997  0.504  0.997
Fe  0.504  0.997  0.997
Sm  0.657  0.657  0.657
Sm  0.343  0.343  0.343

---

VASP calculation (PBE-GGA) on a relaxed FeCoSn4 crystal.

Results
energy of formation from the pure elements	0.00	eV per atom
E_tot	-0.387	Ry per atom

a b c (Å): 5.271 5.271 5.271
angles (deg): 105.61 105.61 117.50
Element x y z (fractional)
Sn  0.084  0.916  0.500
Sn  0.416  0.584  0.500
Sn  0.916  0.416  0.832
Sn  0.584  0.084  0.168
Fe  0.500  0.500  0.000
Co  0.000  0.000  0.000

---

VASP calculation (PBE-GGA) on a relaxed FeCoTe2 crystal.

Results
energy of formation from the pure elements	-0.18	eV per atom
E_tot	-0.399	Ry per atom

a b c (Å): 3.877 3.877 5.355
angles (deg): 90.00 90.00 120.00
Element x y z (fractional)
Fe  0.000  0.000  0.000
Te  0.333  0.667  0.248
Te  0.667  0.333  0.752
Co  0.000  0.000  0.500

---

VASP calculation (PBE-GGA) on a relaxed ThFe3Co2 crystal.

Results
energy of formation from the pure elements	-0.07	eV per atom
E_tot	-0.581	Ry per atom

a b c (Å): 4.899 4.899 4.025
angles (deg): 90.00 90.00 120.00
Element x y z (fractional)
Co  0.333  0.667  0.000
Co  0.667  0.333  0.000
Th  0.000  0.000  0.000
Fe  0.500  0.000  0.500
Fe  0.500  0.500  0.500
Fe  0.000  0.500  0.500